(1)
Material: Cs2Ga2B2O7
Method: DFT, PBE-GGA
State: optimized geometry

Electronic total energy (eV/atom): -6.442

```
data_Cs2Ga2B2O7
_chemical_formula_sum 'Cs8 Ga8 B8 O28'
_space_group_name_H-M_alt 'P 1 21/c 1'
_space_group_IT_number 14
_cell_length_a 9.022
_cell_length_b 8.144
_cell_length_c 12.406
_cell_angle_alpha 90.00
_cell_angle_beta 103.92
_cell_angle_gamma 90.00
loop_
_space_group_symop_operation_xyz
'x,y,z'
'-x,-y,-z'
'-x,y+1/2,-z+1/2'
'x,-y+1/2,z+1/2'
loop_
_atom_site_label
_atom_site_type_symbol
_atom_site_fract_x
_atom_site_fract_y
_atom_site_fract_z
Cs1 Cs 0.034 0.124 0.131
Cs2 Cs 0.432 0.621 0.847
Ga1 Ga 0.186 0.564 0.131
Ga2 Ga 0.339 0.111 0.887
B1 B 0.148 0.109 0.422
B2 B 0.331 0.643 0.564
O1 O 0.018 0.017 0.377
O2 O 0.191 0.227 0.355
O3 O 0.204 0.718 0.589
O4 O 0.239 0.079 0.527
O5 O 0.307 0.009 0.014
O6 O 0.312 0.532 0.269
O7 O 0.472 0.719 0.593
```

(2)
Material: LiSmHg2
Method: DFT, PBE-GGA
State: optimized geometry

Electronic total energy (eV/atom): -2.264

```
data_LiSmHg2
_chemical_formula_sum 'Li4 Sm4 Hg8'
_space_group_name_H-M_alt 'F m -3 m'
_space_group_IT_number 225
_space_group_name_Hall '-F 4 2 3'
_cell_length_a 7.225
_cell_length_b 7.225
_cell_length_c 7.225
_cell_angle_alpha 90.00
_cell_angle_beta 90.00
_cell_angle_gamma 90.00
loop_
_atom_site_label
_atom_site_type_symbol
_atom_site_fract_x
_atom_site_fract_y
_atom_site_fract_z
Li1 Li 0.000 0.000 0.000
Sm1 Sm 0.000 0.000 0.500
Hg1 Hg 0.250 0.250 0.250
```